1.
Entry from Materials Project: crystalline LiGaH4 at its relaxed geometry (PBE).

a = 4.763 Å, b = 4.763 Å, c = 6.135 Å
α = 90.00°, β = 90.00°, γ = 94.52°
Element x y z (fractional)
Ga 0.180 0.820 0.750
Ga 0.820 0.180 0.250
Li 0.577 0.423 0.750
Li 0.423 0.577 0.250
H 0.327 0.673 0.547
H 0.251 0.151 0.750
H 0.849 0.749 0.750
H 0.673 0.327 0.047
H 0.151 0.251 0.250
H 0.673 0.327 0.453
H 0.327 0.673 0.953
H 0.749 0.849 0.250

Output
Energy (eV per atom): -3.175
SG: Cmcm (63)
ΔH_f (0 K) (meV per atom): -210

---

2.
Entry from Materials Project: crystalline LiGaH4 at its relaxed geometry (PBE).

a = 4.883 Å, b = 7.613 Å, c = 7.837 Å
α = 90.00°, β = 90.00°, γ = 103.49°
Element x y z (fractional)
H 0.652 0.390 0.908
H 0.888 0.524 0.624
H 0.388 0.024 0.876
H 0.575 0.771 0.395
H 0.075 0.271 0.105
H 0.946 0.123 0.765
H 0.554 0.377 0.265
H 0.848 0.110 0.408
H 0.348 0.610 0.092
H 0.612 0.976 0.124
H 0.446 0.623 0.735
H 0.054 0.877 0.235
H 0.925 0.729 0.895
H 0.112 0.476 0.376
H 0.425 0.229 0.605
H 0.152 0.890 0.592
Ga 0.274 0.433 0.206
Ga 0.226 0.067 0.706
Ga 0.774 0.933 0.294
Ga 0.726 0.567 0.794
Li 0.243 0.823 0.040
Li 0.743 0.323 0.460
Li 0.257 0.677 0.540
Li 0.757 0.177 0.960

Output
Energy (eV per atom): -3.175
SG: P2_1/c (14)
ΔH_f (0 K) (meV per atom): -209
Magnetization (μB per formula unit): 0.0

---

3.
Entry from Materials Project: crystalline Li2Ga3Te6H12O24 at its relaxed geometry (PBE).

a = 10.223 Å, b = 10.223 Å, c = 10.223 Å
α = 54.67°, β = 54.67°, γ = 54.67°
Element x y z (fractional)
H 0.561 0.485 0.841
H 0.159 0.439 0.515
H 0.841 0.561 0.485
H 0.515 0.159 0.439
H 0.874 0.726 0.333
H 0.485 0.841 0.561
H 0.726 0.333 0.874
H 0.333 0.874 0.726
H 0.126 0.274 0.667
H 0.274 0.667 0.126
H 0.439 0.515 0.159
H 0.667 0.126 0.274
Li 0.696 0.696 0.696
Li 0.304 0.304 0.304
Te 0.392 0.981 0.922
Te 0.608 0.019 0.078
Te 0.922 0.392 0.981
Te 0.981 0.922 0.392
Te 0.078 0.608 0.019
Te 0.019 0.078 0.608
O 0.539 0.185 0.322
O 0.678 0.461 0.815
O 0.882 0.016 0.230
O 0.861 0.664 0.023
O 0.815 0.678 0.461
O 0.139 0.336 0.977
O 0.977 0.139 0.336
O 0.770 0.118 0.984
O 0.585 0.770 0.925
O 0.664 0.023 0.861
O 0.322 0.539 0.185
O 0.770 0.925 0.585
O 0.075 0.415 0.230
O 0.016 0.230 0.882
O 0.925 0.585 0.770
O 0.185 0.322 0.539
O 0.461 0.815 0.678
O 0.118 0.984 0.770
O 0.984 0.770 0.118
O 0.336 0.977 0.139
O 0.023 0.861 0.664
O 0.230 0.075 0.415
O 0.415 0.230 0.075
O 0.230 0.882 0.016
Ga 0.193 0.193 0.193
Ga 0.807 0.807 0.807
Ga 0.000 0.000 0.000

Output
Energy (eV per atom): -5.266
SG: R-3 (148)
ΔH_f (0 K) (meV per atom): -1548
Magnetization (μB per formula unit): 1.0

---

4.
Entry from Materials Project: crystalline GaPH4NO5 at its relaxed geometry (PBE).

a = 4.583 Å, b = 6.226 Å, c = 8.553 Å
α = 90.00°, β = 98.34°, γ = 90.00°
Element x y z (fractional)
O 0.734 0.750 0.899
O 0.256 0.956 0.836
O 0.449 0.750 0.618
O 0.744 0.456 0.164
O 0.266 0.250 0.101
O 0.256 0.544 0.836
O 0.825 0.250 0.879
O 0.551 0.250 0.382
O 0.175 0.750 0.121
O 0.744 0.044 0.164
H 0.094 0.750 0.473
H 0.838 0.882 0.341
H 0.162 0.118 0.659
H 0.728 0.750 0.498
H 0.272 0.250 0.502
H 0.906 0.250 0.527
H 0.838 0.618 0.341
H 0.162 0.382 0.659
Ga 0.000 0.500 0.000
Ga 0.000 0.000 0.000
N 0.123 0.250 0.584
N 0.877 0.750 0.416
P 0.578 0.250 0.207
P 0.422 0.750 0.793

Output
Energy (eV per atom): -5.827
SG: P2_1/m (11)
ΔH_f (0 K) (meV per atom): -1523
Magnetization (μB per formula unit): 1.0

---

5.
Entry from Materials Project: crystalline Ga2P3H12N3O12 at its relaxed geometry (PBE).

a = 8.483 Å, b = 8.483 Å, c = 9.176 Å
α = 73.72°, β = 73.72°, γ = 75.33°
Element x y z (fractional)
O 0.634 0.802 0.328
O 0.675 0.487 0.283
O 0.191 0.988 0.858
O 0.967 0.506 0.340
O 0.198 0.366 0.172
O 0.988 0.191 0.358
O 0.012 0.809 0.642
O 0.513 0.325 0.217
O 0.506 0.967 0.840
O 0.461 0.640 0.109
O 0.360 0.539 0.391
O 0.809 0.012 0.142
O 0.366 0.198 0.672
O 0.181 0.278 0.469
O 0.539 0.360 0.891
O 0.033 0.494 0.660
O 0.487 0.675 0.783
O 0.722 0.819 0.031
O 0.325 0.513 0.717
O 0.819 0.722 0.531
O 0.802 0.634 0.828
O 0.494 0.033 0.160
O 0.278 0.181 0.969
O 0.640 0.461 0.609
N 0.907 0.317 0.035
N 0.317 0.907 0.535
N 0.093 0.683 0.965
N 0.898 0.102 0.750
N 0.683 0.093 0.465
N 0.102 0.898 0.250
H 0.992 0.071 0.814
H 0.715 0.964 0.478
H 0.781 0.099 0.821
H 0.036 0.285 0.022
H 0.623 0.147 0.373
H 0.964 0.715 0.978
H 0.219 0.901 0.179
H 0.901 0.219 0.679
H 0.008 0.929 0.186
H 0.878 0.399 0.935
H 0.207 0.858 0.565
H 0.858 0.207 0.065
H 0.793 0.142 0.435
H 0.377 0.853 0.627
H 0.285 0.036 0.522
H 0.601 0.122 0.565
H 0.071 0.992 0.314
H 0.399 0.878 0.435
H 0.853 0.377 0.127
H 0.929 0.008 0.686
H 0.147 0.623 0.873
H 0.142 0.793 0.935
H 0.099 0.781 0.321
H 0.122 0.601 0.065
P 0.497 0.503 0.750
P 0.919 0.670 0.661
P 0.670 0.919 0.161
P 0.503 0.497 0.250
P 0.081 0.330 0.339
P 0.330 0.081 0.839
Ga 0.256 0.409 0.579
Ga 0.591 0.744 0.921
Ga 0.409 0.256 0.079
Ga 0.744 0.591 0.421

Output
Energy (eV per atom): -5.973
SG: C2/c (15)
ΔH_f (0 K) (meV per atom): -1625
Magnetization (μB per formula unit): 0.0

---

6.
Entry from Materials Project: crystalline Ga2P3H8N3O12 at its relaxed geometry (PBE).

a = 8.619 Å, b = 8.619 Å, c = 9.155 Å
α = 73.14°, β = 73.14°, γ = 74.92°
Element x y z (fractional)
H 0.772 0.542 0.025
H 0.365 0.866 0.633
H 0.542 0.772 0.525
H 0.708 0.361 0.062
H 0.611 0.103 0.561
H 0.635 0.134 0.367
H 0.458 0.228 0.475
H 0.897 0.389 0.939
H 0.292 0.639 0.938
H 0.639 0.292 0.438
H 0.134 0.635 0.867
H 0.103 0.611 0.061
H 0.389 0.897 0.439
H 0.866 0.365 0.133
H 0.361 0.708 0.562
H 0.228 0.458 0.975
O 0.301 0.135 0.329
O 0.982 0.176 0.286
O 0.028 0.864 0.392
O 0.533 0.990 0.167
O 0.864 0.028 0.892
O 0.467 0.010 0.833
O 0.865 0.699 0.171
O 0.176 0.982 0.786
O 0.515 0.299 0.138
O 0.701 0.485 0.362
O 0.699 0.865 0.671
O 0.010 0.467 0.333
O 0.824 0.018 0.214
O 0.135 0.301 0.829
O 0.216 0.320 0.534
O 0.990 0.533 0.667
O 0.299 0.515 0.638
O 0.136 0.972 0.108
O 0.680 0.784 0.966
O 0.784 0.680 0.466
O 0.485 0.701 0.862
O 0.320 0.216 0.034
O 0.018 0.824 0.714
O 0.972 0.136 0.608
N 0.373 0.627 0.250
N 0.188 0.585 0.962
N 0.812 0.415 0.038
N 0.627 0.373 0.750
N 0.585 0.188 0.462
N 0.415 0.812 0.538
P 0.008 0.992 0.750
P 0.164 0.420 0.662
P 0.992 0.008 0.250
P 0.420 0.164 0.162
P 0.580 0.836 0.838
P 0.836 0.580 0.338
Ga 0.090 0.246 0.418
Ga 0.754 0.910 0.082
Ga 0.910 0.754 0.582
Ga 0.246 0.090 0.918

Output
Energy (eV per atom): -5.992
SG: C2/c (15)
ΔH_f (0 K) (meV per atom): -1507
Magnetization (μB per formula unit): 4.0

---

7.
Entry from Materials Project: crystalline Zn2GaP3H8N2O12 at its relaxed geometry (PBE).

a = 11.726 Å, b = 11.956 Å, c = 12.107 Å
α = 109.49°, β = 107.77°, γ = 107.91°
Element x y z (fractional)
O 0.987 0.379 0.072
O 0.126 0.573 0.832
O 0.885 0.361 0.289
O 0.636 0.432 0.578
O 0.898 0.450 0.815
O 0.280 0.319 0.663
O 0.688 0.259 0.327
O 0.422 0.811 0.874
O 0.128 0.645 0.337
O 0.805 0.893 0.473
O 0.619 0.219 0.598
O 0.416 0.213 0.444
O 0.654 0.559 0.178
O 0.240 0.033 0.785
O 0.182 0.869 0.022
O 0.494 0.631 0.890
O 0.020 0.916 0.871
O 0.015 0.900 0.313
O 0.679 0.139 0.107
O 0.327 0.880 0.464
O 0.436 0.295 0.846
O 0.344 0.704 0.524
O 0.919 0.484 0.621
O 0.512 0.357 0.694
O 0.844 0.127 0.610
O 0.791 0.193 0.855
O 0.662 0.860 0.939
O 0.344 0.685 0.308
O 0.961 0.678 0.830
O 0.498 0.422 0.244
O 0.656 0.348 0.161
O 0.328 0.115 0.605
O 0.561 0.829 0.094
O 0.834 0.967 0.707
O 0.885 0.020 0.240
O 0.908 0.136 0.031
O 0.720 0.759 0.459
O 0.216 0.560 0.604
O 0.974 0.904 0.096
O 0.778 0.763 0.124
O 0.420 0.548 0.579
O 0.198 0.449 0.377
O 0.618 0.925 0.523
O 0.126 0.062 0.728
O 0.141 0.794 0.780
O 0.034 0.784 0.236
O 0.033 0.219 0.919
O 0.753 0.538 0.389
Ga 0.024 0.051 0.819
Ga 0.148 0.907 0.184
Ga 0.545 0.760 0.345
Ga 0.326 0.215 0.934
H 0.356 0.320 0.234
H 0.000 0.846 0.505
H 0.843 0.488 0.003
H 0.473 0.924 0.675
H 0.249 0.340 0.300
H 0.968 0.163 0.402
H 0.944 0.200 0.538
H 0.103 0.265 0.555
H 0.494 0.992 0.310
H 0.189 0.528 0.949
H 0.198 0.192 0.172
H 0.525 0.936 0.177
H 0.252 0.557 0.111
H 0.757 0.811 0.711
H 0.599 0.074 0.798
H 0.057 0.780 0.597
H 0.995 0.320 0.495
H 0.795 0.712 0.773
H 0.564 0.103 0.264
H 0.162 0.397 0.985
H 0.490 0.971 0.828
H 0.689 0.465 0.910
H 0.636 0.658 0.662
H 0.903 0.684 0.460
H 0.323 0.242 0.322
H 0.433 0.044 0.739
H 0.794 0.610 0.052
H 0.400 0.980 0.168
H 0.317 0.495 0.014
H 0.723 0.470 0.056
H 0.048 0.729 0.444
H 0.700 0.784 0.818
Zn 0.793 0.253 0.721
Zn 0.235 0.683 0.773
Zn 0.788 0.044 0.085
Zn 0.407 0.500 0.714
Zn 0.743 0.432 0.481
Zn 0.032 0.447 0.257
Zn 0.632 0.724 0.182
Zn 0.299 0.023 0.419
P 0.549 0.302 0.571
P 0.974 0.538 0.769
P 0.291 0.560 0.519
P 0.535 0.783 0.949
P 0.904 0.895 0.186
P 0.280 0.731 0.398
P 0.377 0.259 0.701
P 0.924 0.230 0.971
P 0.732 0.275 0.223
P 0.772 0.982 0.583
P 0.086 0.824 0.879
P 0.634 0.476 0.249
N 0.003 0.760 0.502
N 0.230 0.495 0.015
N 0.500 0.005 0.761
N 0.280 0.272 0.255
N 0.003 0.238 0.497
N 0.721 0.740 0.740
N 0.495 0.003 0.230
N 0.764 0.507 0.005

Output
Energy (eV per atom): -5.788
SG: P1 (1)
Distance to the lowest polymorph of the same formula (meV per atom): 282
ΔH_f (0 K) (meV per atom): -1524
Magnetization (μB per formula unit): 0.0